A | Here is a geometry-optimized Fe2O3F structure from the Materials Project database. Energies are from PBE+U.

```
Fe2O3F
1.0
4.698 0.000 0.000
0.338 7.641 0.000
0.658 3.391 9.233
Fe O F
10 15 5
Direct
0.000 0.000 0.000
0.000 0.201 0.401
0.020 0.613 0.204
0.462 0.698 0.883
0.469 0.497 0.487
0.498 0.905 0.298
0.503 0.307 0.099
0.531 0.109 0.711
0.992 0.805 0.595
0.994 0.404 0.794
0.172 0.640 0.766
0.182 0.433 0.374
0.188 0.851 0.170
0.295 0.741 0.473
0.301 0.543 0.072
0.306 0.342 0.675
0.307 0.941 0.877
0.308 0.145 0.276
0.684 0.665 0.319
0.685 0.465 0.917
0.691 0.864 0.721
0.694 0.264 0.521
0.697 0.069 0.121
0.818 0.970 0.425
0.821 0.165 0.829
0.198 0.245 0.978
0.200 0.042 0.580
0.791 0.563 0.614
0.802 0.370 0.217
0.803 0.760 0.022
```

Summary:
- total magnetization (Bohr magnetons per cell) = 45.00
- space-group type = P1, No. 1
- volume (A^3/atom) = 11.0


B | Here is a geometry-optimized Fe2O3F structure from the Materials Project database. Energies are from PBE+U.

```
Fe2O3F
1.0
3.008 -6.908 0.000
3.008 6.908 0.000
0.000 0.000 6.391
Fe O F
8 12 4
Direct
0.114 0.886 0.750
0.127 0.376 0.750
0.372 0.628 0.250
0.376 0.127 0.250
0.624 0.873 0.750
0.628 0.372 0.750
0.873 0.624 0.250
0.886 0.114 0.250
0.034 0.966 0.250
0.125 0.374 0.055
0.125 0.374 0.445
0.289 0.711 0.750
0.374 0.125 0.555
0.374 0.125 0.945
0.626 0.875 0.055
0.626 0.875 0.445
0.711 0.289 0.250
0.875 0.626 0.555
0.875 0.626 0.945
0.966 0.034 0.750
0.225 0.775 0.250
0.478 0.522 0.750
0.522 0.478 0.250
0.775 0.225 0.750
```

Summary:
- total magnetization (Bohr magnetons per cell) = 0.12
- space-group type = Cmcm, No. 63
- volume (A^3/atom) = 11.1


C | Here is a geometry-optimized Fe2O3F structure from the Materials Project database. Energies are from PBE+U.

```
Fe2O3F
1.0
3.012 0.000 0.000
0.000 4.750 0.000
0.000 0.000 9.900
Fe O F
4 6 2
Direct
0.000 0.221 0.000
0.000 0.779 0.500
0.500 0.276 0.714
0.500 0.724 0.214
0.000 0.074 0.639
0.000 0.926 0.139
0.500 0.076 0.895
0.500 0.434 0.073
0.500 0.566 0.573
0.500 0.924 0.395
0.000 0.500 0.312
0.000 0.500 0.812
```

Summary:
- total magnetization (Bohr magnetons per cell) = 18.00
- space-group type = Pmc2_1, No. 26
- volume (A^3/atom) = 11.8


The winner here is A, beating the second structure by 24 meV per atom.


A | Here is a geometry-optimized Fe2O3F structure from the Materials Project database. Energies are from PBE+U.

```
Fe2O3F
1.0
4.708 0.000 0.000
0.000 3.009 0.000
-1.024 0.000 23.373
Fe O F
10 15 5
Direct
0.000 0.000 0.000
0.016 0.000 0.799
0.042 0.000 0.600
0.080 0.000 0.402
0.493 0.500 0.296
0.521 0.500 0.092
0.541 0.500 0.893
0.567 0.500 0.693
0.598 0.500 0.492
0.975 0.000 0.201
0.168 0.500 0.238
0.211 0.500 0.035
0.228 0.500 0.833
0.246 0.500 0.634
0.273 0.500 0.436
0.341 0.000 0.338
0.673 0.000 0.260
0.711 0.000 0.059
0.722 0.000 0.857
0.739 0.000 0.656
0.777 0.000 0.456
0.807 0.500 0.160
0.832 0.500 0.957
0.847 0.500 0.756
0.883 0.500 0.556
0.313 0.000 0.137
0.330 0.000 0.935
0.350 0.000 0.733
0.389 0.000 0.534
0.854 0.500 0.358
```

Summary:
- total magnetization (Bohr magnetons per cell) = 45.05
- space-group type = Pm, No. 6
- volume (A^3/atom) = 11.0


B | Here is a geometry-optimized Fe2O3F structure from the Materials Project database. Energies are from PBE+U.

```
Fe2O3F
1.0
15.032 0.000 0.000
0.000 3.196 3.444
0.000 -3.196 3.444
Fe O F
10 15 5
Direct
0.000 0.000 0.000
0.100 0.537 0.537
0.199 0.002 0.002
0.300 0.543 0.543
0.399 0.014 0.014
0.500 0.480 0.480
0.601 0.014 0.014
0.700 0.543 0.543
0.801 0.002 0.002
0.900 0.537 0.537
0.000 0.325 0.710
0.000 0.710 0.325
0.100 0.826 0.826
0.199 0.329 0.715
0.199 0.715 0.329
0.302 0.832 0.832
0.399 0.318 0.705
0.399 0.705 0.318
0.500 0.190 0.190
0.601 0.318 0.705
0.601 0.705 0.318
0.698 0.832 0.832
0.801 0.329 0.715
0.801 0.715 0.329
0.900 0.826 0.826
0.099 0.208 0.208
0.297 0.212 0.212
0.500 0.812 0.812
0.703 0.212 0.212
0.901 0.208 0.208
```

Summary:
- total magnetization (Bohr magnetons per cell) = 45.00
- space-group type = Amm2, No. 38
- volume (A^3/atom) = 11.0


The winner here is B, beating the second structure by 5 meV per atom.


A | Here is a geometry-optimized Fe2O3F structure from the Materials Project database. Energies are from PBE+U.

```
Fe2O3F
1.0
4.700 -3.019 0.000
4.700 3.019 0.000
-0.304 0.000 4.690
Fe O F
4 6 2
Direct
0.000 0.000 0.000
0.000 0.500 0.500
0.500 0.000 0.500
0.500 0.500 0.000
0.152 0.654 0.805
0.338 0.338 0.319
0.346 0.848 0.195
0.654 0.152 0.805
0.662 0.662 0.681
0.848 0.346 0.195
0.148 0.148 0.700
0.852 0.852 0.300
```

Summary:
- total magnetization (Bohr magnetons per cell) = 18.00
- space-group type = C2/m, No. 12
- volume (A^3/atom) = 11.1


B | Here is a geometry-optimized Fe2O3F structure from the Materials Project database. Energies are from PBE+U.

```
Fe2O3F
1.0
9.005 0.000 0.000
0.000 3.197 3.439
0.000 -3.197 3.439
Fe O F
6 9 3
Direct
0.000 0.000 0.000
0.167 0.533 0.533
0.333 0.064 0.064
0.500 0.524 0.524
0.667 0.064 0.064
0.833 0.533 0.533
0.000 0.711 0.711
0.167 0.224 0.838
0.167 0.838 0.224
0.329 0.353 0.353
0.500 0.240 0.855
0.500 0.855 0.240
0.671 0.353 0.353
0.833 0.224 0.838
0.833 0.838 0.224
0.000 0.331 0.331
0.336 0.735 0.735
0.664 0.735 0.735
```

Summary:
- total magnetization (Bohr magnetons per cell) = 27.00
- space-group type = Amm2, No. 38
- volume (A^3/atom) = 11.0


C | Here is a geometry-optimized Fe2O3F structure from the Materials Project database. Energies are from PBE+U.

```
Fe2O3F
1.0
4.670 0.000 0.000
0.186 7.615 0.000
0.457 3.290 9.234
Fe O F
10 15 5
Direct
0.000 0.000 0.000
0.002 0.206 0.393
0.449 0.105 0.682
0.465 0.701 0.878
0.469 0.293 0.085
0.479 0.895 0.290
0.507 0.494 0.487
0.930 0.386 0.786
0.945 0.595 0.168
0.955 0.810 0.587
0.164 0.362 0.203
0.167 0.158 0.812
0.167 0.755 0.006
0.170 0.965 0.412
0.280 0.860 0.709
0.285 0.275 0.505
0.290 0.056 0.120
0.646 0.536 0.052
0.660 0.337 0.664
0.668 0.733 0.465
0.770 0.640 0.762
0.772 0.233 0.974
0.777 0.051 0.563
0.779 0.829 0.166
0.788 0.439 0.355
0.166 0.561 0.606
0.263 0.457 0.899
0.279 0.656 0.311
0.667 0.938 0.866
0.675 0.138 0.270
```

Summary:
- total magnetization (Bohr magnetons per cell) = 45.00
- space-group type = P1, No. 1
- volume (A^3/atom) = 10.9


The winner here is B, beating the second structure by 15 meV per atom.